Li3SiBiO5 | PBE-GGA | optimized geometry

The structure in extended XYZ format:
```
40
Lattice="-4.1215 3.2540 0.6075 0.2643 -0.6865 5.4707 10.3618 12.9149 1.1201" Properties=species:S:1:pos:R:3 pbc="T T T"
Li 2.0537 10.2567 4.8781
Li 5.4846 15.0410 2.5279
Li 8.1608 14.1658 3.1953
Li 3.4376 7.7708 5.4058
Li 6.4480 11.7814 2.8253
Li 5.4085 9.9778 5.4340
Li 2.4107 6.8365 2.6208
Li -1.0203 2.0522 4.9710
Li 0.2776 -0.2102 3.7179
Li 5.0008 6.1848 1.5074
Li -0.8189 7.0166 2.0465
Li -1.8584 5.2129 4.6552
Si 0.9961 1.1167 1.0255
Si 4.3609 4.8026 4.1103
Si 4.1598 9.0880 2.7907
Si 7.5246 12.7739 5.8755
Bi 6.9800 8.8058 1.7781
Bi 8.5056 10.1993 4.6641
Bi -0.2254 3.8812 2.2724
Bi 1.3002 5.2747 5.1584
O 8.0578 10.6109 2.5864
O 6.9208 8.6858 5.1845
O 3.6302 5.2136 2.7106
O 0.8180 1.2005 5.1277
O -0.2509 0.6173 1.9597
O 4.4927 6.0217 5.1935
O -2.0254 5.3372 2.5280
O -0.5328 6.6896 5.4104
O 5.1765 7.7617 2.7004
O 9.0451 12.0755 5.8397
O 0.7922 5.8425 1.8356
O -0.3447 3.9174 4.4337
O 6.6707 13.5050 1.9255
O 3.8584 9.4918 4.3425
O 2.8239 8.8195 1.8851
O 7.5675 14.2240 5.1189
O 5.1813 10.2583 2.0614
O 6.6739 11.6107 4.9438
O -2.1205 3.0753 1.2967
O 1.7480 7.3891 4.4359
```

Values from the calculation:
E   -6.057 eV per atom
ΔE_f   -2422 meV per atom
Calculated volume   121 Å³/f.u.
Space-group type   No. 33